VASP calculation (PBE-GGA) on crystalline Y2Zn3N4 at its relaxed geometry.

SG: No. 15
calculated density: 5.41 g/cm³
total moment: 0.00 μB per cell
formation energy: -0.7874 eV/atom

a b c (Å): 6.823 7.179 6.346
angles (deg): 90.00 91.46 121.74
Atoms (fractional coordinates):
Y1 0.716 0.486 0.142
Y2 0.284 0.770 0.358
Y3 0.716 0.230 0.642
Y4 0.284 0.514 0.858
Zn1 0.000 0.739 0.750
Zn2 0.305 0.237 0.530
Zn3 0.695 0.763 0.470
Zn4 0.305 0.068 0.030
Zn5 0.000 0.261 0.250
Zn6 0.695 0.932 0.970
N1 0.467 0.313 0.832
N2 0.533 0.687 0.168
N3 0.901 0.649 0.476
N4 0.901 0.252 0.976
N5 0.533 0.846 0.668
N6 0.099 0.351 0.524
N7 0.467 0.154 0.332
N8 0.099 0.748 0.024

=====

VASP calculation (PBE-GGA) on crystalline Na2ScCuF6 at its relaxed geometry.

SG: No. 225
calculated density: 3.01 g/cm³
total moment: 0.01 μB per cell
formation energy: -3.0013 eV/atom

a b c (Å): 5.938 5.938 5.938
angles (deg): 60.00 60.00 60.00
Atoms (fractional coordinates):
F1 0.760 0.240 0.240
F2 0.240 0.760 0.760
F3 0.240 0.240 0.760
F4 0.760 0.760 0.240
F5 0.240 0.760 0.240
F6 0.760 0.240 0.760
Na1 0.750 0.750 0.750
Na2 0.250 0.250 0.250
Cu1 0.500 0.500 0.500
Sc1 0.000 0.000 0.000

=====

Q: Among the records above, which one has the lowest calculated density?
A: Na2ScCuF6